C, relaxed, DFT GGA-PBE; symmetry = No. 206; uncorrected energy = -8.394 eV/atom; E above lowest polymorph = 835 meV per atom; total magnetization = 0.0 μB per formula unit
1.0
0.802 2.582 2.779
-3.841 -0.240 -0.471
1.397 -3.471 1.018
C
8
Direct
0.500 0.000 0.688
0.688 0.500 0.000
0.000 0.688 0.500
0.812 0.812 0.812
0.500 0.000 0.312
0.312 0.500 0.000
0.000 0.312 0.500
0.188 0.188 0.188


C, relaxed, DFT GGA-PBE; symmetry = No. 194; uncorrected energy = -9.220 eV/atom; E above lowest polymorph = 8 meV per atom
1.0
-0.248 -0.359 2.429
0.126 -1.935 -1.527
8.641 -0.118 0.864
C
4
Direct
0.000 0.000 0.750
0.000 0.000 0.250
0.333 0.667 0.750
0.667 0.333 0.250


C, relaxed, DFT GGA-PBE; symmetry = No. 194; uncorrected energy = -9.219 eV/atom; E above lowest polymorph = 10 meV per atom
1.0
1.234 -2.137 0.000
1.234 2.137 0.000
0.000 0.000 14.998
C
4
Direct
0.000 0.000 0.250
0.000 0.000 0.750
0.333 0.667 0.250
0.667 0.333 0.750


C, relaxed, DFT GGA-PBE; symmetry = No. 166; uncorrected energy = -9.227 eV/atom; E above lowest polymorph = 2 meV per atom
1.0
11.876 -1.235 0.000
11.876 1.235 0.000
11.747 0.000 2.135
C
4
Direct
0.949 0.949 0.949
0.283 0.283 0.283
0.717 0.717 0.717
0.051 0.051 0.051


C, relaxed, DFT GGA-PBE; symmetry = No. 69; uncorrected energy = -9.223 eV/atom; E above lowest polymorph = 6 meV per atom
1.0
0.000 2.137 3.990
1.234 0.000 3.990
1.234 2.137 0.000
C
2
Direct
0.667 0.333 0.667
0.333 0.667 0.333


C, relaxed, DFT GGA-PBE; symmetry = No. 166; uncorrected energy = -8.820 eV/atom; E above lowest polymorph = 409 meV per atom; total magnetization = 0.0 μB per formula unit
1.0
8.651 -4.602 0.000
8.651 4.602 0.000
6.202 0.000 7.586
C
60
Direct
0.027 0.875 0.717
0.249 0.249 0.572
0.717 0.027 0.875
0.917 0.472 0.645
0.027 0.717 0.875
0.083 0.528 0.355
0.572 0.249 0.249
0.645 0.917 0.472
0.631 0.889 0.196
0.249 0.572 0.249
0.889 0.196 0.631
0.945 0.791 0.455
0.737 0.737 0.306
0.737 0.306 0.737
0.472 0.645 0.917
0.528 0.083 0.355
0.283 0.973 0.125
0.055 0.545 0.209
0.055 0.209 0.545
0.125 0.973 0.283
0.083 0.355 0.528
0.455 0.945 0.791
0.945 0.455 0.791
0.306 0.737 0.737
0.917 0.645 0.472
0.973 0.125 0.283
0.196 0.631 0.889
0.125 0.283 0.973
0.631 0.196 0.889
0.263 0.694 0.263
0.428 0.751 0.751
0.875 0.027 0.717
0.472 0.917 0.645
0.355 0.528 0.083
0.209 0.055 0.545
0.751 0.428 0.751
0.751 0.751 0.428
0.791 0.455 0.945
0.717 0.875 0.027
0.694 0.263 0.263
0.545 0.055 0.209
0.791 0.945 0.455
0.528 0.355 0.083
0.263 0.263 0.694
0.645 0.472 0.917
0.111 0.804 0.369
0.355 0.083 0.528
0.196 0.889 0.631
0.973 0.283 0.125
0.545 0.209 0.055
0.804 0.111 0.369
0.889 0.631 0.196
0.111 0.369 0.804
0.283 0.125 0.973
0.369 0.804 0.111
0.455 0.791 0.945
0.875 0.717 0.027
0.209 0.545 0.055
0.369 0.111 0.804
0.804 0.369 0.111


C, relaxed, DFT GGA-PBE; symmetry = No. 12; uncorrected energy = -8.928 eV/atom; E above lowest polymorph = 301 meV per atom; total magnetization = 0.0 μB per formula unit
1.0
-4.112 -0.196 -2.397
-3.258 -2.572 -2.336
-2.435 -0.792 3.268
C
8
Direct
0.943 0.943 0.879
0.057 0.057 0.121
0.442 0.442 0.654
0.558 0.558 0.346
0.786 0.786 0.059
0.214 0.214 0.941
0.271 0.271 0.586
0.729 0.729 0.414


C, relaxed, DFT GGA-PBE; symmetry = No. 194; uncorrected energy = -9.218 eV/atom; E above lowest polymorph = 10 meV per atom
1.0
-2.320 -0.748 0.380
1.883 -1.505 0.524
1.091 11.725 29.736
C
12
Direct
0.667 0.333 0.633
0.667 0.333 0.133
0.667 0.333 0.367
0.667 0.333 0.867
0.000 0.000 0.250
0.333 0.667 0.867
0.000 0.000 0.750
0.667 0.333 0.250
0.333 0.667 0.367
0.333 0.667 0.750
0.333 0.667 0.133
0.333 0.667 0.633